The following is a DFT calculation (GGA-PBE) of a relaxed AlH12Cl3O6 crystal.

The space group is R-3c (No. 167, hexagonal axes) and the conventional cell measures 11.8514, 11.8514 and 12.1117 Å, with angles of 90.00, 90.00 and 120.00 degrees. The asymmetric unit holds Al at (0.0000, 0.0000, 0.0000), H at (0.0026, 0.2038, 0.4121), H at (0.0711, 0.1858, 0.6436), Cl at (0.0000, 0.2687, 0.7500) and O at (0.0396, 0.1461, 0.0908).

Its total energy is -637.372 eV per cell.